Density functional theory data (PBE) for La3OsI3 after structural relaxation.

The structure in POSCAR format:
```
La3OsI3
1.0
-6.3425 6.3425 6.3425
6.3425 -6.3425 6.3425
6.3425 6.3425 -6.3425
La Os I
12 4 12
Cartesian
1.5856 1.3075 4.4787
-1.5856 5.0350 4.4787
-1.5856 7.6500 1.8637
4.4787 1.5856 1.3075
4.4787 -1.5856 5.0350
1.5856 -1.3075 1.8637
1.8637 1.5856 -1.3075
1.8637 -1.5856 7.6500
1.3075 4.4787 1.5856
7.6500 1.8637 -1.5856
-1.3075 1.8637 1.5856
5.0350 4.4787 -1.5856
1.5856 1.5856 1.5856
-1.5856 4.7569 1.5856
4.7569 1.5856 -1.5856
1.5856 -1.5856 4.7569
7.9281 1.4668 1.7045
4.7569 4.8757 1.7045
4.7569 7.8092 4.6380
1.7045 7.9281 1.4668
4.6380 4.7569 7.8092
7.9281 -1.4668 4.6380
1.7045 4.7569 4.8757
4.6380 7.9281 -1.4668
1.4668 1.7045 7.9281
7.8092 4.6380 4.7569
-1.4668 4.6380 7.9281
4.8757 1.7045 4.7569
```

Results
Its theoretical density is 6.43 g/cm3. The crystal system is cubic. The volume comes out at 36.4 Å³ per atom.

=====

Density functional theory data (PBE) for La3PI3 after structural relaxation.

The structure in POSCAR format:
```
La3PI3
1.0
-6.2800 6.2800 6.2800
6.2800 -6.2800 6.2800
6.2800 6.2800 -6.2800
La P I
12 4 12
Cartesian
-1.3393 1.8007 1.5700
1.5700 -1.3393 1.8007
1.8007 -1.5700 7.6193
-1.5700 4.9407 4.4793
1.8007 1.5700 -1.3393
7.6193 1.8007 -1.5700
4.9407 4.4793 -1.5700
4.4793 -1.5700 4.9407
4.4793 1.5700 1.3393
1.5700 1.3393 4.4793
-1.5700 7.6193 1.8007
1.3393 4.4793 1.5700
4.7100 1.5700 -1.5700
1.5700 -1.5700 4.7100
-1.5700 4.7100 1.5700
1.5700 1.5700 1.5700
1.4589 1.6811 7.8500
4.5989 7.8500 -1.4589
7.8500 -1.4589 4.5989
4.7100 4.8211 1.6811
4.5989 4.7100 7.7389
7.7389 4.5989 4.7100
4.8211 1.6811 4.7100
1.6811 4.7100 4.8211
-1.4589 4.5989 7.8500
4.7100 7.7389 4.5989
7.8500 1.4589 1.6811
1.6811 7.8500 1.4589
```

Results
Its theoretical density is 5.55 g/cm3. The crystal system is cubic. The volume comes out at 35.4 Å³ per atom.

=====

Density functional theory data (PBE) for La5Pb3I after structural relaxation.

The structure in POSCAR format:
```
La5Pb3I
1.0
4.9393 -8.5550 0.0000
4.9393 8.5550 0.0000
0.0000 0.0000 7.1935
La Pb I
10 6 2
Cartesian
3.5787 -6.1985 5.3951
1.3606 2.3566 1.7984
7.1574 0.0000 1.7984
4.9393 2.8517 3.5967
4.9393 2.8517 0.0000
4.9393 -2.8517 3.5967
4.9393 -2.8517 0.0000
1.3606 -2.3566 1.7984
2.7212 0.0000 5.3951
3.5787 6.1985 5.3951
1.9024 -3.2950 5.3951
3.0369 -5.2601 1.7984
3.0369 5.2601 1.7984
6.0738 0.0000 5.3951
1.9024 3.2950 5.3951
3.8047 0.0000 1.7984
0.0000 0.0000 3.5967
0.0000 0.0000 0.0000
```

Results
Its theoretical density is 7.88 g/cm3. The crystal system is hexagonal. The volume comes out at 33.8 Å³ per atom.

=====

Density functional theory data (PBE) for La3PtI3 after structural relaxation.

The structure in POSCAR format:
```
La3PtI3
1.0
-6.3769 6.3769 6.3769
6.3769 -6.3769 6.3769
6.3769 6.3769 -6.3769
La Pt I
12 4 12
Cartesian
1.5942 1.3529 4.5414
-1.5942 5.0240 4.5414
-1.5942 7.7299 1.8355
4.5414 1.5942 1.3529
4.5414 -1.5942 5.0240
1.5942 -1.3529 1.8355
1.8355 1.5942 -1.3529
1.8355 -1.5942 7.7299
1.3529 4.5414 1.5942
7.7299 1.8355 -1.5942
-1.3529 1.8355 1.5942
5.0240 4.5414 -1.5942
1.5942 1.5942 1.5942
-1.5942 4.7827 1.5942
4.7827 1.5942 -1.5942
1.5942 -1.5942 4.7827
7.9711 1.4832 1.7053
4.7827 4.8937 1.7053
4.7827 7.8601 4.6716
1.7053 7.9711 1.4832
4.6716 4.7827 7.8601
7.9711 -1.4832 4.6716
1.7053 4.7827 4.8937
4.6716 7.9711 -1.4832
1.4832 1.7053 7.9711
7.8601 4.6716 4.7827
-1.4832 4.6716 7.9711
4.8937 1.7053 4.7827
```

Results
Its theoretical density is 6.36 g/cm3. The crystal system is cubic. The volume comes out at 37.0 Å³ per atom.

=====

Density functional theory data (PBE) for La2Ru2I after structural relaxation.

The structure in POSCAR format:
```
La2Ru2I
1.0
2.1751 -3.7673 0.0000
2.1751 3.7673 0.0000
0.0000 0.0000 17.7742
La Ru I
4 4 2
Cartesian
0.0000 0.0000 1.8841
0.0000 0.0000 15.8901
0.0000 0.0000 10.7712
0.0000 0.0000 7.0030
2.1751 1.2558 8.9817
2.1751 -1.2558 8.7924
2.1751 -1.2558 0.0946
2.1751 1.2558 17.6795
2.1751 1.2558 4.4435
2.1751 -1.2558 13.3306
```

Results
Its theoretical density is 6.92 g/cm3. The crystal system is hexagonal. The volume comes out at 29.1 Å³ per atom.

=====

Density functional theory data (PBE) for La4RuI5 after structural relaxation.

The structure in POSCAR format:
```
La4RuI5
1.0
0.0000 4.4160 0.0000
0.1128 0.0000 9.4725
9.6556 -2.2080 -2.4001
La Ru I
4 1 5
Cartesian
2.6362 0.0000 0.0143
7.1322 2.2080 7.0581
9.6656 0.0000 -0.3609
0.1028 2.2080 7.4334
0.0000 0.0000 0.0000
6.3426 0.0000 0.0115
3.4258 2.2080 7.0610
6.5065 0.0000 4.6862
3.2619 2.2080 2.3862
0.0564 0.0000 4.7363
```

Results
Its theoretical density is 5.29 g/cm3. The crystal system is monoclinic. The volume comes out at 40.5 Å³ per atom.

=====

Density functional theory data (PBE) for La3RuI3 after structural relaxation.

The structure in POSCAR format:
```
La3RuI3
1.0
-2.6873 2.6862 -2.2221
-0.2109 -6.2249 -7.2701
-9.9945 -6.1880 4.6063
La Ru I
6 2 6
Cartesian
-9.5260 -6.7338 1.2003
-3.3667 -2.9929 -6.0861
-8.7241 -2.8563 0.5582
-4.1686 -6.8704 -5.4440
-3.0728 0.7802 -1.8803
-9.8199 -10.5068 -3.0056
-10.7487 -4.0922 1.5125
-2.1440 -5.6344 -6.3983
-5.8418 -1.1531 -0.8687
-7.0509 -8.5735 -4.0171
-6.9460 -5.4613 -0.3816
-5.9467 -4.2654 -4.5042
-10.7875 -7.1205 -2.1014
-2.1052 -2.6062 -2.7845
```

Results
Its theoretical density is 5.62 g/cm3. The crystal system is monoclinic. The volume comes out at 37.9 Å³ per atom.

=====

Density functional theory data (PBE) for La3SbI3 after structural relaxation.

The structure in POSCAR format:
```
La3SbI3
1.0
9.2900 -1.4820 6.1307
-8.8569 -4.0557 5.5851
1.0627 -5.4207 -9.7761
La Sb I
12 4 12
Cartesian
2.3468 -0.5259 1.4583
-2.1119 -1.1320 1.4729
-2.0757 -3.8201 7.1033
5.1131 -3.4936 3.4045
0.1958 -1.4976 -2.3726
-3.4592 -6.0689 -4.5344
0.7331 -5.4744 -4.4083
-3.9764 -4.7301 3.4284
-1.5047 -4.9662 -0.6342
0.3799 -4.0060 3.3373
7.4047 -3.8089 -0.1443
2.9379 -4.3099 -0.3521
-1.6829 -3.7243 -3.4918
-2.1059 -2.3983 4.3252
4.9107 -2.0962 0.6213
0.3740 -2.7396 0.4849
0.7081 -5.4918 6.3464
3.5468 -7.1501 -5.2114
-5.9387 -7.1454 2.1302
1.0835 -6.9150 -1.4219
1.2779 -9.5059 4.3350
-0.8432 -10.4817 0.4578
-1.4497 -6.5992 2.3154
3.0227 -5.9470 2.5513
5.0097 -4.8817 6.4757
3.6402 -9.8638 0.4911
-3.5874 -7.4689 -1.5110
5.4970 -6.2165 -1.4409
```

Results
Its theoretical density is 5.60 g/cm3. The crystal system is cubic. The volume comes out at 38.9 Å³ per atom.

=====

no.,DFT formation energy (eV/atom)
1,-1.23
2,-1.66
3,-0.80
4,-1.49
5,-0.69
6,-1.40
7,-1.29
8,-1.50